Material: Ba3P6O26
Method: DFT, GGA-PBE
State: relaxed

abc: 10.936 10.936 16.635
angles: 63.28 63.28 39.88
Fractional coordinates of all 70 atoms:
Ba (0.800, 0.610, 0.226)
Ba (0.274, 0.726, 0.750)
Ba (0.200, 0.390, 0.774)
Ba (0.610, 0.800, 0.726)
Ba (0.390, 0.200, 0.274)
Ba (0.726, 0.274, 0.250)
O (0.035, 0.608, 0.016)
O (0.233, 0.866, 0.298)
O (0.645, 0.987, 0.129)
O (0.020, 0.743, 0.961)
O (0.392, 0.965, 0.484)
O (0.430, 0.458, 0.666)
O (0.635, 0.260, 0.938)
O (0.355, 0.013, 0.871)
O (0.145, 0.473, 0.524)
O (0.260, 0.635, 0.438)
O (0.767, 0.134, 0.702)
O (0.217, 0.042, 0.723)
O (0.136, 0.505, 0.098)
O (0.505, 0.136, 0.598)
O (0.257, 0.980, 0.539)
O (0.608, 0.035, 0.516)
O (0.289, 0.963, 0.127)
O (0.134, 0.767, 0.202)
O (0.801, 0.330, 0.938)
O (0.386, 0.377, 0.369)
O (0.199, 0.670, 0.062)
O (0.473, 0.145, 0.024)
O (0.377, 0.386, 0.869)
O (0.864, 0.495, 0.902)
O (0.570, 0.542, 0.334)
O (0.042, 0.217, 0.223)
O (0.408, 0.970, 0.227)
O (0.783, 0.958, 0.277)
O (0.866, 0.233, 0.798)
O (0.592, 0.030, 0.773)
O (0.855, 0.527, 0.476)
O (0.711, 0.037, 0.873)
O (0.037, 0.711, 0.373)
O (0.970, 0.408, 0.727)
O (0.542, 0.570, 0.834)
O (0.614, 0.623, 0.631)
O (0.670, 0.199, 0.562)
O (0.495, 0.864, 0.402)
O (0.987, 0.645, 0.629)
O (0.527, 0.855, 0.976)
O (0.365, 0.740, 0.062)
O (0.330, 0.801, 0.438)
O (0.958, 0.783, 0.777)
O (0.965, 0.392, 0.984)
O (0.740, 0.365, 0.562)
O (0.458, 0.430, 0.166)
O (0.030, 0.592, 0.273)
O (0.743, 0.020, 0.461)
O (0.623, 0.614, 0.131)
O (0.980, 0.257, 0.039)
O (0.013, 0.355, 0.371)
O (0.963, 0.289, 0.627)
P (0.634, 0.296, 0.623)
P (0.296, 0.634, 0.123)
P (0.985, 0.756, 0.282)
P (0.366, 0.704, 0.377)
P (0.217, 0.529, 0.429)
P (0.244, 0.015, 0.218)
P (0.015, 0.244, 0.718)
P (0.783, 0.471, 0.571)
P (0.471, 0.783, 0.071)
P (0.704, 0.366, 0.877)
P (0.529, 0.217, 0.929)
P (0.756, 0.985, 0.782)

Spin magnetization in μB per formula unit: 8.0
Symmetry: C2/c
Final energy in eV per atom: -6.3748


Material: Ba2P2O7
Method: DFT, GGA-PBE
State: relaxed

abc: 9.487 9.487 7.275
angles: 90.00 90.00 120.09
Fractional coordinates of all 33 atoms:
O (0.711, 0.355, 0.000)
O (0.495, 0.679, 0.278)
O (0.847, 0.002, 0.763)
O (0.044, 0.044, 0.500)
O (0.185, 0.510, 0.742)
O (0.355, 0.711, 0.000)
O (0.185, 0.510, 0.258)
O (0.510, 0.185, 0.258)
O (0.158, 0.158, 0.201)
O (0.158, 0.158, 0.799)
O (0.002, 0.847, 0.763)
O (0.818, 0.323, 0.703)
O (0.679, 0.495, 0.722)
O (0.002, 0.847, 0.237)
O (0.679, 0.495, 0.278)
O (0.323, 0.818, 0.297)
O (0.495, 0.679, 0.722)
O (0.847, 0.002, 0.237)
O (0.510, 0.185, 0.742)
O (0.818, 0.323, 0.297)
O (0.323, 0.818, 0.703)
P (0.338, 0.675, 0.778)
P (0.675, 0.338, 0.778)
P (0.338, 0.675, 0.222)
P (0.008, 0.008, 0.717)
P (0.675, 0.338, 0.222)
P (0.008, 0.008, 0.283)
Ba (0.287, 0.995, 0.000)
Ba (0.004, 0.617, 0.500)
Ba (0.617, 0.004, 0.500)
Ba (0.995, 0.287, 0.000)
Ba (0.714, 0.714, 0.000)
Ba (0.386, 0.386, 0.500)

Spin magnetization in μB per formula unit: 0.0
Symmetry: Amm2
Final energy in eV per atom: -7.2314


Material: BaP4O11
Method: DFT, GGA-PBE
State: relaxed

abc: 13.336 9.200 13.097
angles: 46.81 90.00 90.00
Fractional coordinates of all 64 atoms:
P (0.843, 0.376, 0.387)
P (0.707, 0.668, 0.917)
P (0.157, 0.624, 0.613)
P (0.657, 0.376, 0.887)
P (0.003, 0.477, 0.823)
P (0.167, 0.596, 0.277)
P (0.997, 0.523, 0.177)
P (0.293, 0.332, 0.083)
P (0.207, 0.332, 0.583)
P (0.793, 0.668, 0.417)
P (0.333, 0.596, 0.777)
P (0.833, 0.404, 0.723)
P (0.503, 0.523, 0.677)
P (0.343, 0.624, 0.113)
P (0.497, 0.477, 0.323)
P (0.667, 0.404, 0.223)
O (0.397, 0.254, 0.120)
O (0.591, 0.549, 0.754)
O (0.729, 0.553, 0.081)
O (0.904, 0.545, 0.721)
O (0.229, 0.447, 0.419)
O (0.247, 0.675, 0.665)
O (0.409, 0.451, 0.246)
O (0.253, 0.675, 0.165)
O (0.470, 0.653, 0.301)
O (0.117, 0.762, 0.248)
O (0.096, 0.455, 0.279)
O (0.771, 0.553, 0.581)
O (0.530, 0.347, 0.699)
O (0.898, 0.191, 0.500)
O (0.214, 0.524, 0.570)
O (0.704, 0.794, 0.338)
O (0.714, 0.476, 0.930)
O (0.883, 0.238, 0.752)
O (0.485, 0.726, 0.538)
O (0.404, 0.455, 0.779)
O (0.617, 0.238, 0.252)
O (0.398, 0.809, 0.000)
O (0.103, 0.254, 0.620)
O (0.102, 0.809, 0.500)
O (0.796, 0.794, 0.838)
O (0.985, 0.274, 0.962)
O (0.296, 0.206, 0.662)
O (0.015, 0.726, 0.038)
O (0.204, 0.206, 0.162)
O (0.909, 0.549, 0.254)
O (0.603, 0.746, 0.880)
O (0.596, 0.545, 0.221)
O (0.753, 0.325, 0.335)
O (0.286, 0.524, 0.070)
O (0.030, 0.653, 0.801)
O (0.091, 0.451, 0.746)
O (0.602, 0.191, 0.000)
O (0.271, 0.447, 0.919)
O (0.897, 0.746, 0.380)
O (0.786, 0.476, 0.430)
O (0.383, 0.762, 0.748)
O (0.747, 0.325, 0.835)
O (0.970, 0.347, 0.199)
O (0.515, 0.274, 0.462)
Ba (0.028, 0.038, 0.235)
Ba (0.528, 0.962, 0.265)
Ba (0.972, 0.962, 0.765)
Ba (0.472, 0.038, 0.735)

Symmetry: P2_1/c
Final energy in eV per atom: -7.1765


Material: BaP4O11
Method: DFT, GGA-PBE
State: relaxed

abc: 10.383 10.441 11.850
angles: 112.42 110.97 85.86
Fractional coordinates of all 64 atoms:
P (0.557, 0.412, 0.746)
P (0.624, 0.931, 0.763)
P (0.237, 0.098, 0.431)
P (0.936, 0.137, 0.289)
P (0.064, 0.863, 0.711)
P (0.909, 0.568, 0.224)
P (0.912, 0.253, 0.076)
P (0.443, 0.588, 0.254)
P (0.737, 0.592, 0.387)
P (0.376, 0.069, 0.237)
P (0.763, 0.902, 0.569)
P (0.088, 0.747, 0.924)
P (0.263, 0.408, 0.613)
P (0.397, 0.774, 0.099)
P (0.091, 0.432, 0.776)
P (0.603, 0.226, 0.901)
O (0.512, 0.140, 0.275)
O (0.860, 0.549, 0.336)
O (0.956, 0.410, 0.167)
O (0.387, 0.645, 0.134)
O (0.949, 0.175, 0.171)
O (0.393, 0.904, 0.223)
O (0.981, 0.203, 0.980)
O (0.488, 0.222, 0.944)
O (0.396, 0.437, 0.742)
O (0.044, 0.590, 0.833)
O (0.726, 0.015, 0.520)
O (0.759, 0.758, 0.453)
O (0.087, 0.072, 0.326)
O (0.933, 0.266, 0.401)
O (0.613, 0.355, 0.866)
O (0.241, 0.242, 0.547)
O (0.269, 0.477, 0.527)
O (0.253, 0.759, 0.982)
O (0.604, 0.563, 0.258)
O (0.255, 0.069, 0.122)
O (0.665, 0.871, 0.631)
O (0.366, 0.452, 0.203)
O (0.829, 0.020, 0.231)
O (0.787, 0.593, 0.124)
O (0.213, 0.407, 0.876)
O (0.960, 0.341, 0.710)
O (0.552, 0.298, 0.621)
O (0.448, 0.702, 0.379)
O (0.335, 0.129, 0.369)
O (0.171, 0.980, 0.769)
O (0.512, 0.778, 0.056)
O (0.274, 0.985, 0.480)
O (0.019, 0.797, 0.020)
O (0.607, 0.096, 0.777)
O (0.140, 0.451, 0.664)
O (0.731, 0.523, 0.473)
O (0.488, 0.860, 0.725)
O (0.634, 0.548, 0.797)
O (0.040, 0.659, 0.290)
O (0.051, 0.825, 0.829)
O (0.745, 0.931, 0.878)
O (0.067, 0.734, 0.599)
O (0.747, 0.241, 0.018)
O (0.913, 0.928, 0.674)
Ba (0.752, 0.780, 0.018)
Ba (0.270, 0.734, 0.503)
Ba (0.730, 0.266, 0.497)
Ba (0.248, 0.220, 0.982)

Spin magnetization in μB per formula unit: 0.0
Symmetry: P-1
Final energy in eV per atom: -7.1566